LaGe2Pt2 after structural relaxation, computed with GGA-PBE.

Output
- energy relative to the elements (eV per atom) = -0.97
- space group = P2_1/c (14)

a = 4.488 Å, b = 8.947 Å, c = 9.932 Å
α = 89.19°, β = 90.00°, γ = 90.00°
Fractional coordinates of all 20 atoms:
La 0.255 0.873 0.244
La 0.755 0.627 0.756
La 0.245 0.373 0.244
La 0.745 0.127 0.756
Ge 0.243 0.125 0.001
Ge 0.794 0.612 0.377
Ge 0.706 0.112 0.377
Ge 0.257 0.625 0.001
Ge 0.206 0.388 0.623
Ge 0.743 0.375 0.999
Ge 0.294 0.888 0.623
Ge 0.757 0.875 0.999
Pt 0.306 0.639 0.500
Pt 0.743 0.123 0.124
Pt 0.194 0.139 0.500
Pt 0.806 0.861 0.500
Pt 0.243 0.377 0.876
Pt 0.257 0.877 0.876
Pt 0.694 0.361 0.500
Pt 0.757 0.623 0.124